Here is an optimized crystal structure of CeAu3 from the Materials Project database. Energies are from meta-GGA r2SCAN.

Calculated volume: 88.0 Å³/f.u.
Space group: Cmcm, No. 63
M_tot: 1.9 μB/cell
Formation energy from the elements: -701 meV/atom

Unit cell a=6.5746 b=6.5711 c=4.7273 alpha=90.00 beta=90.00 gamma=120.50
Fractional coordinates of all 8 atoms:
Ce: 0.3335 0.6670 0.7500
Ce: 0.6665 0.3329 0.2500
Au: 0.8470 0.1532 0.7500
Au: 0.1528 0.8468 0.2500
Au: 0.1540 0.3055 0.2500
Au: 0.8459 0.6944 0.7500
Au: 0.6950 0.8461 0.2500
Au: 0.3053 0.1540 0.7500

Here is an optimized crystal structure of CeAu from the Materials Project database. Energies are from meta-GGA r2SCAN.

Calculated volume: 53.3 Å³/f.u.
Space group: Cmcm, No. 63
M_tot: 2.0 μB/cell
Formation energy from the elements: -802 meV/atom

Unit cell a=3.9618 b=4.7336 c=6.0212 alpha=90.00 beta=70.79 gamma=90.00
Fractional coordinates of all 4 atoms:
Au: 0.4120 0.7500 0.1761
Au: 0.5880 0.2500 0.8239
Ce: 0.1352 0.7500 0.7295
Ce: 0.8648 0.2500 0.2705

Here is an optimized crystal structure of CeAu from the Materials Project database. Energies are from meta-GGA r2SCAN.

Calculated volume: 53.2 Å³/f.u.
Space group: P2_1/m, No. 11
M_tot: 4.9 μB/cell
Formation energy from the elements: -818 meV/atom

Unit cell a=4.8349 b=7.4864 c=5.8835 alpha=89.34 beta=90.00 gamma=90.00
Fractional coordinates of all 8 atoms:
Ce: 0.7500 0.8123 0.3516
Ce: 0.2500 0.6871 0.8494
Ce: 0.7500 0.3129 0.1506
Ce: 0.2500 0.1877 0.6484
Au: 0.2500 0.0377 0.1547
Au: 0.2500 0.5421 0.3452
Au: 0.7500 0.9623 0.8453
Au: 0.7500 0.4579 0.6548